Hf2N2O: optimized geometry, PBE.

Lattice parameters (Å, degrees): 8.110 3.266 13.788 90.00 98.61 90.00
Fractional coordinates of all 30 atoms:
Hf: 0.000 0.000 0.000
Hf: 0.002 0.500 0.215
Hf: 0.048 0.500 0.788
Hf: 0.296 0.000 0.647
Hf: 0.359 0.500 0.440
Hf: 0.362 0.000 0.938
Hf: 0.372 0.000 0.240
Hf: 0.637 0.500 0.103
Hf: 0.664 0.000 0.606
Hf: 0.690 0.500 0.834
Hf: 0.728 0.000 0.342
Hf: 0.996 0.500 0.502
N: 0.136 0.500 0.653
N: 0.174 0.500 0.955
N: 0.192 0.000 0.493
N: 0.239 0.500 0.292
N: 0.482 0.500 0.594
N: 0.500 0.000 0.404
N: 0.530 0.500 0.939
N: 0.565 0.500 0.246
N: 0.829 0.000 0.507
N: 0.863 0.500 0.041
N: 0.890 0.000 0.849
N: 0.903 0.500 0.349
O: 0.121 0.000 0.150
O: 0.224 0.000 0.798
O: 0.465 0.000 0.091
O: 0.559 0.000 0.762
O: 0.801 0.500 0.691
O: 0.804 0.000 0.189

- Crystal system: monoclinic
- Calculated density: 11.1 Mg/m³
- Energy with MP2020 corrections: -10.62 eV per atom
- Formation enthalpy at 0 K: -2.31 eV/atom